## A
Sr6MgTe8O22: optimized geometry, PBE-GGA.

Output
Total magnetization in μB/atom: 0.000

Geometry as POSCAR:
```
Sr6MgTe8O22
1.0
-3.989 5.047 -4.195
1.769 -6.761 -6.404
-6.163 -5.198 5.863
Sr Mg Te O
6 1 8 22
direct
0.276 0.026 0.094
0.698 0.966 0.867
0.876 0.046 0.301
0.129 0.953 0.666
0.330 0.578 0.612
0.673 0.486 0.373
0.959 0.306 0.558
0.069 0.350 0.215
0.917 0.635 0.779
0.042 0.291 0.856
0.974 0.728 0.209
0.454 0.685 0.029
0.549 0.291 0.976
0.492 0.833 0.440
0.508 0.219 0.559
0.988 0.533 0.632
0.005 0.400 0.386
0.420 0.625 0.383
0.547 0.427 0.591
0.828 0.204 0.103
0.161 0.774 0.883
0.679 0.205 0.746
0.273 0.870 0.299
0.412 0.850 0.601
0.674 0.220 0.451
0.073 0.145 0.550
0.950 0.805 0.385
0.492 0.293 0.145
0.522 0.708 0.868
0.543 0.882 0.139
0.435 0.085 0.897
0.934 0.876 0.102
0.027 0.087 0.866
0.198 0.207 0.274
0.801 0.763 0.672
0.682 0.615 0.137
0.320 0.360 0.868
```

## B
Sr6MgTe8O22: optimized geometry, PBE-GGA.

Output
Total magnetization in μB/atom: 0.000

Geometry as POSCAR:
```
Sr6MgTe8O22
1.0
7.357 0.220 -2.388
-2.574 9.400 -1.820
0.244 -0.479 9.700
Sr Mg Te O
6 1 8 22
direct
0.303 0.053 0.160
0.714 0.941 0.896
0.864 0.061 0.331
0.137 0.921 0.692
0.257 0.541 0.555
0.684 0.456 0.397
0.577 0.517 0.849
0.041 0.331 0.177
0.926 0.620 0.806
0.061 0.266 0.791
0.962 0.735 0.201
0.397 0.743 0.012
0.559 0.275 0.981
0.508 0.808 0.455
0.520 0.200 0.576
0.969 0.524 0.624
0.974 0.461 0.317
0.452 0.604 0.387
0.513 0.397 0.624
0.813 0.185 0.106
0.250 0.859 0.932
0.742 0.206 0.731
0.345 0.857 0.299
0.372 0.815 0.590
0.613 0.194 0.415
0.053 0.142 0.610
0.915 0.821 0.380
0.478 0.283 0.146
0.457 0.675 0.830
0.595 0.909 0.114
0.457 0.086 0.858
0.972 0.900 0.130
0.065 0.130 0.899
0.169 0.242 0.312
0.864 0.783 0.743
0.719 0.616 0.071
0.359 0.357 0.865
```

Result of the stability comparison: B is the least stable of them.

## A
Sr4MgTi3O10: optimized geometry, PBE-GGA.

Output
Total magnetization in μB/atom: 0.000

Geometry as POSCAR:
```
Sr4MgTi3O10
1.0
3.888 0.000 -0.535
-0.073 3.888 -0.535
0.235 0.239 16.116
Sr Mg Ti O
4 1 3 10
direct
0.559 0.559 0.117
0.441 0.441 0.883
0.319 0.319 0.638
0.681 0.681 0.362
0.750 0.250 0.500
0.000 0.000 0.000
0.877 0.877 0.753
0.123 0.123 0.247
0.132 0.632 0.263
0.779 0.779 0.558
0.221 0.221 0.442
0.500 0.000 0.000
0.000 0.500 0.000
0.065 0.065 0.130
0.935 0.935 0.870
0.633 0.133 0.267
0.368 0.868 0.737
0.867 0.367 0.733
```

## B
Sr4MgTi3O10: optimized geometry, PBE-GGA.

Output
Total magnetization in μB/atom: 0.000

Geometry as POSCAR:
```
Sr4MgTi3O10
1.0
3.832 0.007 -0.514
-0.066 3.831 -0.514
0.645 0.657 18.530
Sr Mg Ti O
4 1 3 10
direct
0.574 0.574 0.151
0.469 0.469 0.929
0.222 0.222 0.510
0.673 0.673 0.361
0.369 0.369 0.721
0.020 0.020 0.036
0.906 0.906 0.798
0.127 0.127 0.262
0.120 0.621 0.249
0.760 0.760 0.488
0.176 0.176 0.364
0.512 0.012 0.019
0.012 0.512 0.019
0.067 0.067 0.135
0.953 0.953 0.896
0.621 0.120 0.249
0.394 0.893 0.772
0.893 0.394 0.772
```

## C
Sr4MgTi3O10: optimized geometry, PBE-GGA.

Output
Total magnetization in μB/atom: 0.000

Geometry as POSCAR:
```
Sr4MgTi3O10
1.0
-0.458 -1.269 -3.729
-1.875 -3.210 1.325
-12.205 11.476 -1.254
Sr Mg Ti O
4 1 3 10
direct
0.624 0.488 0.175
0.556 0.242 0.933
0.223 0.381 0.573
0.685 0.716 0.405
0.967 0.609 0.801
0.091 0.863 0.052
0.734 0.985 0.678
0.155 0.110 0.298
0.151 0.600 0.289
0.743 0.863 0.554
0.184 0.223 0.414
0.579 0.851 0.041
0.078 0.346 0.036
0.113 0.977 0.167
0.837 0.108 0.800
0.651 0.102 0.290
0.277 0.980 0.672
0.785 0.489 0.681
```

## D
Sr4MgTi3O10: optimized geometry, PBE-GGA.

Output
Total magnetization in μB/atom: 0.042

Geometry as POSCAR:
```
Sr4MgTi3O10
1.0
-3.087 -1.930 -1.637
2.527 -2.496 -1.822
-0.259 -7.038 13.654
Sr Mg Ti O
4 1 3 10
direct
0.593 0.593 0.187
0.407 0.407 0.813
0.293 0.293 0.587
0.707 0.707 0.413
0.500 0.500 0.000
0.000 0.000 0.000
0.854 0.854 0.708
0.146 0.146 0.292
0.145 0.645 0.290
0.788 0.788 0.576
0.212 0.212 0.424
0.500 0.000 0.000
0.000 0.500 0.000
0.073 0.073 0.146
0.927 0.927 0.854
0.645 0.145 0.290
0.355 0.855 0.710
0.855 0.355 0.710
```

Result of the stability comparison: D is the least stable of them.

## A
Sr2MgTi2O6: optimized geometry, PBE-GGA.

Output
Total magnetization in μB/atom: 0.000

Geometry as POSCAR:
```
Sr2MgTi2O6
1.0
5.087 -0.305 -3.563
-1.670 4.686 -3.008
-0.214 0.317 6.724
Sr Mg Ti O
2 1 2 6
direct
0.780 0.257 0.385
0.348 0.847 0.583
0.699 0.458 0.852
0.412 0.585 0.099
0.063 0.019 0.992
0.862 0.257 0.057
0.549 0.745 0.982
0.259 0.189 0.916
0.044 0.641 0.948
0.402 0.175 0.418
0.713 0.732 0.506
```

## B
Sr2MgTi2O6: optimized geometry, PBE-GGA.

Output
Total magnetization in μB/atom: 0.025

Geometry as POSCAR:
```
Sr2MgTi2O6
1.0
5.317 -0.250 -2.797
-2.047 4.874 -2.865
0.040 -0.024 5.667
Sr Mg Ti O
2 1 2 6
direct
0.832 0.203 0.535
0.168 0.797 0.465
0.500 0.500 0.500
0.500 0.500 0.000
0.000 0.000 0.000
0.771 0.271 0.000
0.735 0.759 0.994
0.265 0.241 0.006
0.229 0.729 0.000
0.253 0.253 0.500
0.747 0.747 0.500
```

Result of the stability comparison: B is the least stable of them.

## A
SrYMg6O8: optimized geometry, PBE-GGA.

Output
Total magnetization in μB/atom: 0.007

Geometry as POSCAR:
```
SrYMg6O8
1.0
-4.973 -7.551 1.618
3.457 -1.738 2.512
-1.759 1.969 3.783
Sr Y Mg O
1 1 6 8
direct
0.500 0.000 0.000
0.000 0.000 0.000
0.000 0.500 0.500
0.500 0.500 0.500
0.254 0.000 0.500
0.746 0.000 0.500
0.254 0.500 0.000
0.746 0.500 0.000
0.239 0.000 0.000
0.761 0.000 0.000
0.249 0.500 0.500
0.751 0.500 0.500
0.000 0.000 0.500
0.500 0.000 0.500
0.000 0.500 0.000
0.500 0.500 0.000
```

## B
SrYMg6O8: optimized geometry, PBE-GGA.

Output
Total magnetization in μB/atom: 0.014

Geometry as POSCAR:
```
SrYMg6O8
1.0
8.986 0.000 0.000
0.000 4.623 0.000
0.000 0.000 4.623
Sr Y Mg O
1 1 6 8
direct
0.000 0.500 0.500
0.000 0.000 0.000
0.500 0.000 0.000
0.500 0.500 0.500
0.273 0.000 0.500
0.727 0.000 0.500
0.273 0.500 0.000
0.727 0.500 0.000
0.261 0.000 0.000
0.739 0.000 0.000
0.275 0.500 0.500
0.725 0.500 0.500
0.000 0.000 0.500
0.500 0.000 0.500
0.000 0.500 0.000
0.500 0.500 0.000
```

Result of the stability comparison: A is the least stable of them.

## A
YTh9MgO20: optimized geometry, PBE-GGA.

Output
Total magnetization in μB/atom: 0.032

Geometry as POSCAR:
```
YTh9MgO20
1.0
-4.473 6.233 -2.346
-17.029 4.425 9.630
-7.044 5.047 6.121
Y Th Mg O
1 9 1 20
direct
0.006 0.013 0.972
0.013 0.201 0.975
0.499 0.998 0.006
0.027 0.439 0.936
0.503 0.203 0.989
0.001 0.607 0.988
0.498 0.405 0.991
0.017 0.784 0.026
0.512 0.608 0.979
0.509 0.815 0.971
0.809 0.139 0.420
0.126 0.146 0.254
0.131 0.364 0.223
0.626 0.159 0.220
0.366 0.055 0.743
0.131 0.552 0.243
0.642 0.355 0.230
0.381 0.255 0.732
0.130 0.761 0.227
0.880 0.063 0.712
0.132 0.953 0.241
0.629 0.552 0.243
0.380 0.463 0.725
0.883 0.254 0.734
0.379 0.652 0.745
0.634 0.745 0.257
0.625 0.955 0.237
0.887 0.438 0.770
0.381 0.848 0.750
0.881 0.665 0.723
0.881 0.853 0.740
```

## B
YTh9MgO20: optimized geometry, PBE-GGA.

Output
Total magnetization in μB/atom: 0.032

Geometry as POSCAR:
```
YTh9MgO20
1.0
6.569 0.028 4.536
-0.841 6.585 18.908
0.008 0.044 10.574
Y Th Mg O
1 9 1 20
direct
0.031 0.054 0.913
0.993 0.198 0.008
0.491 0.001 0.998
0.005 0.376 0.043
0.503 0.194 0.007
0.994 0.607 0.983
0.504 0.405 0.989
0.000 0.792 0.003
0.489 0.590 0.025
0.487 0.797 0.010
0.812 0.760 0.399
0.123 0.140 0.269
0.125 0.357 0.238
0.620 0.144 0.261
0.373 0.056 0.739
0.122 0.548 0.254
0.622 0.336 0.279
0.371 0.246 0.761
0.115 0.738 0.274
0.878 0.034 0.781
0.124 0.959 0.235
0.618 0.548 0.255
0.372 0.440 0.766
0.875 0.261 0.733
0.360 0.649 0.756
0.617 0.749 0.244
0.636 0.944 0.253
0.875 0.437 0.769
0.371 0.845 0.757
0.872 0.649 0.747
0.872 0.847 0.752
```

Result of the stability comparison: A is the least stable of them.

## A
YTh9MgO20: optimized geometry, PBE-GGA.

Output
Total magnetization in μB/atom: 0.032

Geometry as POSCAR:
```
YTh9MgO20
1.0
3.615 -1.166 7.036
19.927 -1.133 0.872
10.058 2.496 2.024
Y Th Mg O
1 9 1 20
direct
0.996 0.005 0.994
0.010 0.173 0.047
0.504 0.002 0.994
0.993 0.404 0.994
0.501 0.197 0.003
0.014 0.602 0.968
0.494 0.393 0.015
0.010 0.819 0.978
0.495 0.602 0.999
0.489 0.802 0.004
0.802 0.514 0.448
0.121 0.145 0.259
0.122 0.348 0.253
0.628 0.136 0.277
0.375 0.052 0.748
0.119 0.543 0.266
0.620 0.353 0.246
0.373 0.245 0.760
0.121 0.759 0.239
0.873 0.058 0.739
0.124 0.950 0.248
0.626 0.550 0.246
0.350 0.446 0.766
0.872 0.265 0.733
0.374 0.650 0.747
0.627 0.756 0.241
0.622 0.951 0.254
0.874 0.452 0.740
0.370 0.850 0.754
0.873 0.650 0.746
0.878 0.827 0.793
```

## B
YTh9MgO20: optimized geometry, PBE-GGA.

Output
Total magnetization in μB/atom: 0.032

Geometry as POSCAR:
```
YTh9MgO20
1.0
3.684 -7.061 -0.521
20.006 -0.871 -0.561
10.063 -1.774 2.910
Y Th Mg O
1 9 1 20
direct
0.964 0.981 0.085
0.005 0.199 0.999
0.507 0.004 0.987
0.000 0.420 0.957
0.497 0.199 0.006
0.004 0.588 0.017
0.511 0.410 0.977
0.000 0.799 0.991
0.499 0.597 0.004
0.512 0.796 0.998
0.190 0.082 0.607
0.124 0.155 0.232
0.129 0.346 0.251
0.640 0.153 0.239
0.370 0.055 0.737
0.128 0.546 0.252
0.631 0.353 0.237
0.382 0.249 0.744
0.122 0.767 0.219
0.885 0.059 0.724
0.125 0.944 0.265
0.629 0.545 0.256
0.380 0.466 0.715
0.873 0.247 0.759
0.381 0.650 0.744
0.631 0.757 0.232
0.622 0.947 0.258
0.881 0.461 0.725
0.379 0.840 0.761
0.873 0.645 0.763
0.878 0.842 0.761
```

Result of the stability comparison: A is the least stable of them.